The following is a GGA-PBE calculation of a relaxed Ta2MoOs crystal, from Materials Project.

extended XYZ file:
```
4
Lattice="0.000 3.207 3.207 3.207 0.000 3.207 3.207 3.207 0.000" Properties=species:S:1:pos:R:3 pbc="T T T"
Ta 1.603 1.603 1.603
Ta 4.810 4.810 4.810
Mo 0.000 0.000 0.000
Os 3.207 3.207 3.207
```

- ΔH_f (0 K): -0.3917 eV/atom
- Space-group type: Fm-3m (225)
- ρ: 16.32 g/cm³